The following is a PBE with a Hubbard U calculation of an optimized crystal structure of Li7Mn5O12, from the Materials Project.

Structure (POSCAR):
```
Li7Mn5O12
1.0
6.058 0.000 0.000
-0.069 8.149 0.000
-2.238 -4.011 8.985
Li Mn O
14 10 24
direct
0.000 0.000 0.000
0.000 0.000 0.500
0.000 0.500 0.000
0.154 0.677 0.834
0.192 0.173 0.335
0.299 0.322 0.153
0.338 0.827 0.670
0.500 0.000 0.500
0.500 0.500 0.000
0.500 0.500 0.500
0.662 0.173 0.330
0.701 0.678 0.847
0.808 0.827 0.665
0.846 0.323 0.166
0.000 0.500 0.500
0.163 0.163 0.835
0.180 0.668 0.338
0.324 0.834 0.161
0.327 0.334 0.663
0.500 0.000 0.000
0.673 0.666 0.337
0.676 0.166 0.839
0.820 0.332 0.662
0.837 0.837 0.165
0.010 0.247 0.991
0.023 0.738 0.500
0.130 0.394 0.806
0.160 0.432 0.341
0.183 0.906 0.331
0.208 0.936 0.853
0.291 0.559 0.646
0.320 0.100 0.672
0.328 0.594 0.174
0.346 0.073 0.163
0.476 0.738 0.477
0.483 0.760 0.000
0.517 0.240 0.000
0.524 0.262 0.523
0.654 0.927 0.837
0.672 0.406 0.826
0.680 0.900 0.328
0.709 0.441 0.354
0.792 0.064 0.147
0.817 0.094 0.669
0.840 0.568 0.659
0.870 0.606 0.194
0.977 0.262 0.500
0.990 0.753 0.009
```

Values from the calculation:
Excess energy over the best structure of this formula in the dataset, kJ/mol of formula units: 49
Energy relative to the elements, eV/atom: -2.14
Crystal system: triclinic
Total energy after the MP2020 corrections, eV per cell: -339.6
Raw total energy, eV/atom: -6.38
Total magnetization, μB per formula unit: 15.0



The following is a PBE with a Hubbard U calculation of an optimized crystal structure of Li3V3P8O29, from the Materials Project.

Structure (POSCAR):
```
Li3V3P8O29
1.0
9.756 0.000 0.000
-4.851 8.478 0.000
-0.013 -0.019 14.221
Li V P O
6 6 16 58
direct
0.000 0.000 0.000
0.006 0.549 0.489
0.228 0.317 0.882
0.594 0.133 0.997
0.831 0.447 0.881
0.899 0.172 0.431
0.348 0.224 0.676
0.349 0.662 0.187
0.477 0.791 0.688
0.478 0.227 0.198
0.908 0.789 0.192
0.914 0.665 0.686
0.002 0.539 0.276
0.006 0.001 0.780
0.131 0.141 0.280
0.142 0.541 0.781
0.220 0.454 0.596
0.233 0.315 0.098
0.245 0.887 0.568
0.247 0.898 0.071
0.577 0.554 0.803
0.578 0.561 0.308
0.593 0.138 0.777
0.608 0.000 0.282
0.685 0.913 0.096
0.694 0.312 0.595
0.820 0.453 0.097
0.826 0.920 0.599
0.004 0.699 0.262
0.014 0.847 0.756
0.093 0.893 0.109
0.096 0.735 0.611
0.108 0.217 0.363
0.115 0.220 0.183
0.118 0.433 0.689
0.123 0.442 0.513
0.148 0.456 0.866
0.160 0.230 0.008
0.173 0.147 0.771
0.174 0.572 0.267
0.238 0.878 0.464
0.241 0.037 0.610
0.253 0.900 0.966
0.255 0.755 0.117
0.258 0.317 0.603
0.259 0.484 0.104
0.293 0.145 0.271
0.295 0.700 0.762
0.377 0.611 0.609
0.391 0.320 0.119
0.392 0.893 0.615
0.394 0.048 0.114
0.430 0.405 0.760
0.432 0.559 0.262
0.435 0.131 0.755
0.452 0.841 0.269
0.532 0.753 0.113
0.533 0.311 0.607
0.565 0.134 0.269
0.569 0.970 0.771
0.572 0.699 0.759
0.579 0.550 0.908
0.583 0.412 0.265
0.584 0.561 0.412
0.652 0.306 0.103
0.652 0.879 0.608
0.664 0.222 0.868
0.679 0.998 0.012
0.703 0.023 0.367
0.709 0.232 0.512
0.711 0.017 0.189
0.712 0.236 0.693
0.728 0.709 0.263
0.731 0.559 0.761
0.815 0.606 0.118
0.829 0.761 0.612
0.829 0.885 0.098
0.831 0.488 0.602
0.899 0.460 0.007
0.907 0.017 0.695
0.908 0.012 0.515
0.912 0.432 0.186
0.927 0.461 0.366
0.931 0.988 0.872
0.997 0.567 0.778
0.999 0.966 0.268
```

Values from the calculation:
Excess energy over the best structure of this formula in the dataset, kJ/mol of formula units: 40
Energy relative to the elements, eV/atom: -2.52
Crystal system: triclinic
Total energy after the MP2020 corrections, eV per cell: -656.6
Raw total energy, eV/atom: -7.05
Total magnetization, μB per formula unit: 0.0



The following is a PBE with a Hubbard U calculation of an optimized crystal structure of VPtO3, from the Materials Project.

Structure (POSCAR):
```
VPtO3
1.0
3.813 0.000 0.000
0.000 3.813 0.000
0.000 0.000 3.813
V Pt O
1 1 3
direct
0.000 0.000 0.000
0.500 0.500 0.500
0.000 0.000 0.500
0.000 0.500 0.000
0.500 0.000 0.000
```

Values from the calculation:
Energy relative to the elements, eV/atom: -0.96
Crystal system: cubic
Total energy after the MP2020 corrections, eV per cell: -34.8
Raw total energy, eV/atom: -6.20
Total magnetization, μB per formula unit: 1.0



The following is a PBE with a Hubbard U calculation of an optimized crystal structure of Ba5V5O14, from the Materials Project.

Structure (POSCAR):
```
Ba5V5O14
1.0
5.884 0.000 0.000
-2.942 5.096 0.000
0.000 0.000 12.284
Ba V O
5 5 14
direct
0.000 0.000 0.000
0.333 0.667 0.433
0.333 0.667 0.759
0.667 0.333 0.241
0.667 0.333 0.567
0.000 0.000 0.286
0.000 0.000 0.500
0.000 0.000 0.714
0.333 0.667 0.130
0.667 0.333 0.870
0.153 0.305 0.603
0.153 0.847 0.603
0.170 0.340 0.182
0.170 0.830 0.182
0.305 0.153 0.397
0.333 0.667 0.990
0.340 0.170 0.818
0.660 0.830 0.182
0.667 0.333 0.010
0.695 0.847 0.603
0.830 0.170 0.818
0.830 0.660 0.818
0.847 0.153 0.397
0.847 0.695 0.397
```

Values from the calculation:
Excess energy over the best structure of this formula in the dataset, kJ/mol of formula units: 87
Energy relative to the elements, eV/atom: -2.82
Crystal system: trigonal
Total energy after the MP2020 corrections, eV per cell: -192.0
Raw total energy, eV/atom: -7.25
Total magnetization, μB per formula unit: 7.0